Density functional theory data (GGA+U) for a relaxed structure of Li7V4O11F.

Total magnetic moment (μB/f.u.): 4.00
Formation energy from the elements (meV/atom): -2512
E_tot (eV/cell): -149.00
Space-group type: P1
Energy above the most stable polymorph in this dataset (eV per formula unit): 0.00

Lattice parameters (Å, degrees): 5.035 5.133 9.845 84.58 78.90 60.95
Fractional coordinates of all 23 atoms:
Li: 0.000 0.000 0.000
Li: 0.065 0.336 0.754
Li: 0.225 0.025 0.253
Li: 0.431 0.657 0.742
Li: 0.605 0.321 0.246
Li: 0.747 0.022 0.749
Li: 0.924 0.663 0.249
V: 0.141 0.666 0.504
V: 0.336 0.327 0.000
V: 0.494 0.034 0.507
V: 0.659 0.681 0.001
O: 0.023 0.648 0.889
O: 0.180 0.951 0.604
O: 0.242 0.354 0.386
O: 0.329 0.646 0.112
O: 0.389 0.003 0.888
O: 0.417 0.339 0.620
O: 0.604 0.005 0.114
O: 0.672 0.354 0.884
O: 0.787 0.715 0.621
O: 0.862 0.965 0.383
O: 0.973 0.354 0.117
F: 0.514 0.704 0.369